(1)
6
Lattice="1.7240 -3.6849 3.3796 1.8821 3.8097 3.1490 -5.0853 0.0293 -1.4531" Properties=species:S:1:pos:R:3 comment="ZrVW (r2SCAN, relaxed)" formation_energy_ev_per_atom=-0.068 m_tot_mub_per_atom=0.00 e_tot_ev_per_atom=-29.47 pbc="T T T"
Zr 0.5906 2.8802 2.8138
Zr -2.0697 -2.7261 2.2617
V -1.6016 1.9195 0.8480
V 1.8031 0.0624 3.2643
W 0.8620 -1.8425 1.6898
W -0.7396 0.0770 2.5378


(2)
8
Lattice="-4.9301 -1.8347 -3.5607 4.4604 -4.2090 1.6551 -3.0525 0.5738 5.7570" Properties=species:S:1:pos:R:3 comment="RhBr3 (r2SCAN, relaxed)" formation_energy_ev_per_atom=-0.582 m_tot_mub_per_atom=0.00 e_tot_ev_per_atom=-16.56 pbc="T T T"
Rh -3.3652 -2.2304 -2.6915
Rh 2.8956 -3.8133 0.7859
Br -2.7268 -4.2630 2.9688
Br -0.7954 -1.2069 0.8827
Br 0.6129 -4.8137 0.7914
Br -0.8278 -1.4924 4.8971
Br -4.1351 -0.6562 3.0601
Br -2.6944 -3.9775 -1.0456


(3)
106
Lattice="5.4149 -9.3790 0.0000 5.4149 9.3789 0.0000 0.0000 0.0000 17.4526" Properties=species:S:1:pos:R:3 comment="Lu6Al43V4 (r2SCAN, relaxed)" formation_energy_ev_per_atom=-0.323 m_tot_mub_per_atom=0.00 e_tot_ev_per_atom=-11.16 pbc="T T T"
Lu 2.8776 -4.9841 10.4011
Lu 2.5373 -4.3948 7.0516
Lu 2.8776 4.9841 10.4010
Lu 2.5373 -4.3948 1.6748
Lu 2.8776 4.9841 15.7779
Lu 2.5374 4.3948 7.0516
Lu 2.8776 -4.9841 15.7779
Lu 2.5374 4.3948 1.6747
Lu 5.0747 0.0000 10.4011
Lu 5.7552 0.0000 7.0516
Lu 5.7552 0.0000 1.6748
Lu 5.0747 0.0000 15.7779
Al 4.0375 4.2269 13.0895
Al 6.7924 -4.2269 4.3632
Al 5.1505 1.3831 13.0895
Al 4.0375 -4.2269 13.0895
Al 5.6794 -1.3831 4.3632
Al 6.7924 4.2269 4.3632
Al 7.0568 3.7690 13.0895
Al 5.1506 -1.3831 13.0895
Al 3.7731 -3.7690 4.3632
Al 5.6793 1.3831 4.3632
Al 7.0568 -3.7689 13.0895
Al 3.7730 3.7689 4.3632
Al 0.8470 -1.4670 2.0192
Al 9.9828 1.4670 15.4334
Al 0.8470 1.4671 2.0193
Al 9.9828 1.4670 10.7455
Al 0.8470 1.4671 6.7070
Al 4.5679 7.9118 15.4333
Al 0.8470 -1.4670 6.7071
Al 4.5679 7.9118 10.7456
Al 9.1359 0.0000 2.0192
Al 1.6940 0.0000 15.4334
Al 1.6940 0.0000 10.7455
Al 9.1359 0.0000 6.7071
Al 4.0153 2.3182 8.7263
Al 6.8146 -2.3182 8.7263
Al 6.8146 2.3182 8.7263
Al 6.8146 -2.3182 17.4526
Al 4.0153 -2.3182 0.0000
Al 4.0153 -2.3182 8.7263
Al 4.0153 2.3182 0.0000
Al 6.8146 2.3182 0.0000
Al 5.4150 4.7425 8.7263
Al 5.4149 -4.7425 8.7263
Al 5.4149 -4.7425 0.0000
Al 5.4150 4.7425 17.4526
Al 0.7963 -1.3792 13.0895
Al 4.6187 -7.9997 4.3632
Al 0.7963 1.3792 13.0895
Al 4.6187 7.9997 4.3632
Al 9.2373 0.0000 13.0895
Al 1.5926 0.0000 4.3632
Al 5.4149 3.1263 10.9273
Al 5.4150 -3.1263 6.5253
Al 5.4150 -3.1263 2.2010
Al 5.4149 -3.1263 15.2516
Al 5.4149 3.1263 15.2516
Al 5.4150 3.1263 2.2010
Al 5.4150 3.1263 6.5253
Al 5.4149 -3.1263 10.9273
Al 1.3673 -2.3682 9.2437
Al 9.4626 2.3682 8.2090
Al 1.3673 2.3682 9.2437
Al 9.4626 2.3682 0.5173
Al 1.3673 2.3682 16.9353
Al 4.0477 7.0108 8.2089
Al 1.3673 -2.3682 16.9353
Al 4.0477 7.0108 0.5174
Al 8.0953 0.0000 9.2437
Al 2.7346 0.0000 8.2090
Al 2.7346 0.0000 0.5173
Al 8.0953 0.0000 16.9353
Al 2.9837 2.2000 11.5908
Al 7.8462 -2.2000 5.8618
Al 7.4327 1.4839 11.5907
Al 7.8462 -2.2000 2.8645
Al 2.9837 -2.2001 14.5882
Al 3.3972 -1.4839 5.8619
Al 2.9837 2.2000 14.5881
Al 7.8462 2.2001 2.8644
Al 5.8284 5.6949 11.5908
Al 3.3972 -1.4839 2.8644
Al 7.4327 -1.4840 14.5882
Al 5.0015 -5.6949 5.8618
Al 7.4327 1.4839 14.5882
Al 3.3972 1.4840 2.8645
Al 7.8462 2.2001 5.8619
Al 2.9837 -2.2001 11.5907
Al 5.0015 -5.6949 2.8645
Al 3.3972 1.4840 5.8618
Al 5.8284 5.6949 14.5882
Al 7.4327 -1.4840 11.5908
Al 5.8283 -5.6950 14.5881
Al 5.0015 5.6950 2.8645
Al 5.0015 5.6950 5.8618
Al 5.8283 -5.6950 11.5908
V 0.0000 0.0000 8.7263
V 0.0000 0.0000 0.0000
V 9.3686 2.5310 13.0895
V 1.4613 -2.5310 4.3632
V 3.9537 6.8480 13.0895
V 1.4613 2.5310 4.3632
V 2.9225 0.0000 13.0895
V 7.9074 0.0000 4.3632